(1)
K2V6CdCu9O26 after structural relaxation, computed with PBE+U.

Total energy after the MP2020 corrections in eV/f.u.: -298.19
ΔH_f (0 K) in eV per atom: -1.705
E_tot in Ry per atom: -0.45122

Structure (extended XYZ):
```
44
Lattice="8.364 0.000 0.000 0.000 6.223 0.000 -1.459 0.000 10.827" Properties=species:S:1:pos:R:3 pbc="T T T"
K 0.000 0.000 0.000
K -0.915 3.111 8.585
V -0.491 0.000 6.511
V 2.382 0.000 2.969
V 1.815 0.000 9.684
V 4.080 3.111 9.734
V 5.021 3.111 5.565
V 7.955 3.111 1.986
Cd 4.790 0.000 8.213
Cu 0.238 3.111 5.392
Cu 2.577 3.111 0.270
Cu 2.596 3.111 3.571
Cu 2.456 1.580 6.702
Cu 2.456 4.643 6.702
Cu 4.918 1.562 1.823
Cu 4.918 4.661 1.823
Cu 4.809 0.000 4.918
Cu 7.167 0.000 3.144
O 0.640 3.111 0.635
O 0.678 0.000 2.944
O 0.647 3.111 3.418
O 0.519 1.449 6.564
O 0.519 4.774 6.564
O 0.862 1.413 9.959
O 0.862 4.810 9.959
O 2.227 3.111 5.518
O 2.977 1.505 2.179
O 2.977 4.718 2.179
O 2.904 0.000 4.630
O 2.557 0.000 7.897
O 2.935 3.111 8.486
O 4.514 0.000 0.009
O 4.585 3.111 0.623
O 4.489 3.111 3.899
O 4.438 1.607 6.365
O 4.438 4.615 6.365
O 5.204 0.000 2.944
O 5.117 1.759 9.555
O 5.117 4.464 9.555
O 6.881 1.698 1.930
O 6.881 4.525 1.930
O 6.763 0.000 5.121
O 6.717 3.111 5.573
O 6.977 0.000 7.948
```

***

(2)
Mg3V6Cd2Cu3PbO24 after structural relaxation, computed with PBE+U.

Total energy after the MP2020 corrections in eV/f.u.: -280.05
ΔH_f (0 K) in eV per atom: -2.157
E_tot in Ry per atom: -0.47748

Structure (extended XYZ):
```
39
Lattice="7.095 0.000 0.000 -2.469 8.658 0.000 -2.400 -1.025 8.630" Properties=species:S:1:pos:R:3 pbc="T T T"
Mg 0.000 0.000 0.000
Mg -0.297 0.200 6.488
Mg 3.186 3.282 3.680
V -0.412 2.984 4.274
V 1.582 2.835 0.815
V 1.114 7.984 0.239
V 3.151 0.815 6.192
V 2.691 6.020 5.631
V 4.712 5.890 2.135
Cd -0.848 6.297 5.396
Cd 5.127 2.656 0.921
Cu -0.826 3.785 7.628
Cu 1.010 5.470 2.660
Cu 2.714 4.054 7.400
Pb 5.158 -0.065 3.265
O -2.685 7.556 1.735
O -1.812 2.958 3.226
O -3.068 7.102 5.329
O 0.197 1.824 1.041
O -1.030 5.774 3.220
O -0.242 1.347 4.756
O -0.269 -0.846 8.369
O -0.684 3.959 5.717
O -0.387 1.904 7.728
O 1.160 4.586 0.893
O -1.000 5.688 7.682
O 1.050 3.608 3.457
O 1.748 -0.236 6.202
O 0.985 7.294 1.830
O 2.972 2.446 1.765
O 1.360 6.461 4.594
O 4.973 0.401 0.373
O 3.388 1.434 4.609
O 3.315 5.269 2.942
O 2.857 2.144 7.313
O 3.161 4.323 5.505
O 2.226 5.964 7.335
O 5.003 4.921 0.673
O 4.614 -0.011 6.703
```

***

(3)
MgV2Cd2Cu2O8 after structural relaxation, computed with PBE+U.

Total energy after the MP2020 corrections in eV/f.u.: -94.11
ΔH_f (0 K) in eV per atom: -1.648
E_tot in Ry per atom: -0.41755

Structure (extended XYZ):
```
15
Lattice="5.010 -2.996 0.000 5.010 2.996 0.000 -0.060 0.000 6.723" Properties=species:S:1:pos:R:3 pbc="T T T"
Mg 0.000 0.000 0.000
V 1.604 0.000 4.811
V 8.356 0.000 1.912
Cd 5.010 0.000 0.000
Cd 4.980 0.000 3.362
Cu 2.378 0.000 1.581
Cu 7.582 0.000 5.142
O 4.695 1.645 1.592
O 2.235 0.000 6.474
O 5.265 1.645 5.131
O 2.668 0.000 3.385
O 7.292 0.000 3.338
O 4.695 -1.645 1.592
O 7.724 0.000 0.249
O 5.265 -1.645 5.131
```

***

(4)
TlV3CdCu4O13 after structural relaxation, computed with PBE+U.

Total energy after the MP2020 corrections in eV/f.u.: -147.65
ΔH_f (0 K) in eV per atom: -1.654
E_tot in Ry per atom: -0.44641

Structure (extended XYZ):
```
44
Lattice="8.474 0.000 0.000 0.000 6.372 0.000 -1.373 0.000 10.866" Properties=species:S:1:pos:R:3 pbc="T T T"
Tl -0.459 1.593 4.328
Tl 7.560 4.779 6.538
V 0.040 4.779 2.186
V 1.548 4.779 9.551
V 2.379 4.779 5.350
V 4.722 1.593 5.517
V 5.552 1.593 1.315
V 7.061 1.593 8.680
Cd 1.693 1.593 6.938
Cd 5.408 4.779 3.928
Cu 0.692 1.593 1.178
Cu 1.712 1.593 10.224
Cu 3.004 3.195 2.380
Cu 3.004 6.364 2.380
Cu 4.097 0.009 8.487
Cu 4.097 3.178 8.487
Cu 5.388 4.779 0.643
Cu 6.409 4.779 9.688
O -0.531 1.593 7.229
O -0.252 1.593 10.016
O -0.153 4.779 9.564
O 1.075 3.331 2.190
O 1.075 6.227 2.190
O 1.373 3.400 5.631
O 1.373 6.158 5.631
O 2.722 1.593 1.330
O 2.140 3.248 8.773
O 2.140 6.310 8.773
O 3.464 4.779 0.339
O 3.128 4.779 3.561
O 3.479 1.593 4.377
O 3.622 4.779 6.489
O 3.973 1.593 7.306
O 3.637 1.593 10.527
O 4.961 0.062 2.093
O 4.961 3.124 2.093
O 4.379 4.779 9.537
O 5.728 0.214 5.236
O 5.728 2.972 5.236
O 6.026 0.145 8.677
O 6.026 3.041 8.677
O 7.253 1.593 1.302
O 7.353 4.779 0.850
O 7.632 4.779 3.637
```

***

(5)
MnCd3F6 after structural relaxation, computed with PBE+U.

Total energy after the MP2020 corrections in eV/f.u.: -41.60
ΔH_f (0 K) in eV per atom: -1.818
E_tot in Ry per atom: -0.27309

Structure (extended XYZ):
```
10
Lattice="5.801 0.000 0.000 2.569 7.073 0.000 1.208 1.162 12.308" Properties=species:S:1:pos:R:3 pbc="T T T"
Mn 0.000 0.000 0.000
Cd 0.604 0.581 6.154
Cd 1.285 3.536 0.000
Cd 4.185 3.536 0.000
F 3.718 7.646 8.038
F 2.182 2.663 11.348
F 4.948 6.783 11.517
F 4.630 1.452 0.791
F 7.396 5.571 0.960
F 5.860 0.588 4.270
```

***

(6)
Cd3Fe2Ge3O12 after structural relaxation, computed with PBE+U.

Total energy after the MP2020 corrections in eV/f.u.: -129.79
ΔH_f (0 K) in eV per atom: -1.842
E_tot in Ry per atom: -0.43011

Structure (extended XYZ):
```
80
Lattice="-6.251 6.251 6.251 6.251 -6.251 6.251 6.251 6.251 -6.251" Properties=species:S:1:pos:R:3 pbc="T T T"
Cd 3.126 1.563 0.000
Cd 6.251 3.126 -1.563
Cd 1.563 0.000 3.126
Cd 7.814 0.000 3.126
Cd 0.000 3.126 1.563
Cd 3.126 -1.563 6.251
Cd 3.126 7.814 0.000
Cd 6.251 3.126 4.688
Cd -1.563 6.251 3.126
Cd 4.688 6.251 3.126
Cd 0.000 3.126 7.814
Cd 3.126 4.688 6.251
Fe 0.000 0.000 0.000
Fe 3.126 3.126 -3.126
Fe 3.126 -3.126 3.126
Fe 6.251 0.000 0.000
Fe -3.126 3.126 3.126
Fe 0.000 6.251 0.000
Fe 0.000 0.000 6.251
Fe 3.126 3.126 3.126
Ge 9.377 1.563 0.000
Ge 6.251 -3.126 4.688
Ge 4.688 6.251 -3.126
Ge 4.688 0.000 3.126
Ge 3.126 4.688 0.000
Ge 6.251 3.126 1.563
Ge 0.000 3.126 4.688
Ge 3.126 1.563 6.251
Ge 1.563 6.251 3.126
Ge 1.563 0.000 9.377
Ge 0.000 9.377 1.563
Ge -3.126 4.688 6.251
O 1.905 -0.402 0.600
O 7.472 3.726 -3.528
O 8.156 0.402 0.600
O 7.472 -2.525 3.528
O 5.849 -0.600 1.905
O 9.779 -1.221 2.525
O 0.600 1.905 -0.402
O 8.776 2.723 -1.221
O 3.726 3.528 -1.221
O 5.651 1.905 0.402
O -0.402 0.600 1.905
O 3.528 -1.221 3.726
O 5.849 5.651 -1.905
O 3.528 1.221 2.525
O 3.726 -3.528 7.472
O 5.651 -1.905 5.849
O 2.525 3.528 1.221
O 6.852 4.346 0.402
O 3.528 7.472 -2.525
O 5.849 0.600 4.346
O 1.905 5.849 -0.600
O 7.472 2.525 2.723
O 1.221 2.525 3.528
O 1.905 0.402 5.651
O 4.346 5.849 0.600
O 5.031 3.726 2.723
O -1.221 3.726 3.528
O 4.346 0.402 6.852
O 0.402 5.651 1.905
O 2.723 -1.221 8.776
O -0.600 1.905 5.849
O 3.726 2.723 5.031
O 0.600 8.156 0.402
O 2.525 9.779 -1.221
O 2.723 5.031 3.726
O 0.402 0.600 8.156
O 2.723 7.472 2.525
O 6.654 5.651 4.346
O 0.600 4.346 5.849
O 2.525 2.723 7.472
O -2.525 3.528 7.472
O 5.651 4.346 6.654
O -3.528 7.472 3.726
O 0.402 6.852 4.346
O -1.221 8.776 2.723
O -1.905 5.849 5.651
O -1.221 2.525 9.779
O 4.346 6.654 5.651
```

***

(7)
La3CdFe4O12 after structural relaxation, computed with PBE+U.

Total energy after the MP2020 corrections in eV/f.u.: -158.25
ΔH_f (0 K) in eV per atom: -2.463
E_tot in Ry per atom: -0.51809

Structure (extended XYZ):
```
20
Lattice="5.556 0.000 0.000 0.000 7.917 0.000 -0.048 0.000 5.561" Properties=species:S:1:pos:R:3 pbc="T T T"
La 0.000 0.000 0.000
La 0.087 3.959 0.336
La 2.834 0.000 2.793
Cd 2.745 3.959 3.105
Fe 0.000 2.016 2.961
Fe 0.000 5.901 2.961
Fe 2.830 2.022 0.157
Fe 2.830 5.895 0.157
O 0.456 0.000 2.973
O 1.170 2.244 4.565
O 1.170 5.673 4.565
O 1.610 2.375 1.770
O 1.610 5.542 1.770
O 2.395 0.000 0.291
O 3.212 3.959 5.515
O 4.036 1.558 4.203
O 4.036 6.359 4.203
O 4.383 1.655 1.380
O 4.383 6.262 1.380
O 5.024 3.959 2.876
```

***

(8)
Mg6CdFeO8 after structural relaxation, computed with PBE+U.

Total energy after the MP2020 corrections in eV/f.u.: -99.72
ΔH_f (0 K) in eV per atom: -2.571
E_tot in Ry per atom: -0.42247
Energy above the lowest structure with this stoichiometry in eV per atom: 0.0000

Structure (extended XYZ):
```
16
Lattice="4.391 0.000 0.000 0.000 4.391 0.000 0.000 0.000 8.706" Properties=species:S:1:pos:R:3 pbc="T T T"
Mg 0.000 0.000 0.000
Mg 0.000 0.000 4.353
Mg 0.000 2.196 2.123
Mg 0.000 2.196 6.582
Mg 2.196 0.000 2.123
Mg 2.196 0.000 6.582
Cd 2.196 2.196 4.353
Fe 2.196 2.196 0.000
O 0.000 0.000 2.181
O 0.000 0.000 6.524
O 0.000 2.196 0.000
O 0.000 2.196 4.353
O 2.196 0.000 0.000
O 2.196 0.000 4.353
O 2.196 2.196 2.052
O 2.196 2.196 6.654
```

***

(9)
Mg6CdFeO8 after structural relaxation, computed with PBE+U.

Total energy after the MP2020 corrections in eV/f.u.: -98.82
ΔH_f (0 K) in eV per atom: -2.515
E_tot in Ry per atom: -0.41835
Energy above the lowest structure with this stoichiometry in eV per atom: 0.0561

Structure (extended XYZ):
```
16
Lattice="4.363 0.000 0.000 0.000 4.363 0.000 0.000 0.000 8.749" Properties=species:S:1:pos:R:3 pbc="T T T"
Mg 0.000 0.000 0.000
Mg 0.000 2.182 2.122
Mg 0.000 2.182 6.627
Mg 2.182 0.000 2.122
Mg 2.182 0.000 6.627
Mg 2.182 2.182 0.000
Cd 0.000 0.000 4.375
Fe 2.182 2.182 4.375
O 0.000 0.000 2.043
O 0.000 0.000 6.706
O 0.000 2.182 0.000
O 0.000 2.182 4.375
O 2.182 0.000 0.000
O 2.182 0.000 4.375
O 2.182 2.182 2.133
O 2.182 2.182 6.616
```

***

(10)
NaCdFeP2O8 after structural relaxation, computed with PBE+U.

Total energy after the MP2020 corrections in eV/f.u.: -91.97
ΔH_f (0 K) in eV per atom: -2.373
E_tot in Ry per atom: -0.47616
Energy above the lowest structure with this stoichiometry in eV per atom: 0.0000

Structure (extended XYZ):
```
78
Lattice="6.585 0.000 0.000 2.650 8.584 0.000 1.612 2.135 16.942" Properties=species:S:1:pos:R:3 pbc="T T T"
Na 0.000 0.000 0.000
Na 2.543 5.751 12.571
Na 4.013 1.071 8.464
Na 4.979 4.708 4.166
Na 5.855 5.759 12.537
Na 6.748 6.958 6.110
Cd 4.245 7.985 14.573
Cd 2.690 4.150 7.704
Cd 3.281 2.385 2.058
Cd 7.285 5.410 0.557
Cd 7.427 3.469 10.539
Cd 8.238 4.693 4.178
Fe 4.128 8.270 3.130
Fe 3.530 2.177 13.630
Fe 4.813 6.357 8.887
Fe 6.854 5.231 16.229
Fe 8.170 9.342 11.577
Fe 5.943 1.094 5.199
P 3.471 6.928 5.953
P 3.658 4.804 15.629
P 4.756 8.692 11.337
P 2.788 1.695 5.368
P 3.884 5.610 1.056
P 4.151 3.627 10.787
P 7.517 7.894 14.382
P 6.134 3.760 7.172
P 7.321 7.734 2.804
P 6.932 2.836 13.852
P 7.968 6.718 9.570
P 6.584 2.488 2.307
O 1.530 1.809 13.984
O 2.730 6.297 8.901
O 1.106 1.400 2.045
O 2.802 5.523 5.959
O 1.489 0.994 4.807
O 4.440 7.881 16.874
O 4.440 7.579 12.353
O 3.976 5.684 14.412
O 3.004 3.224 9.834
O 2.557 2.123 6.809
O 3.495 3.310 15.225
O 4.167 6.944 4.548
O 3.640 3.638 12.262
O 3.420 4.732 2.254
O 3.070 2.897 4.390
O 4.218 7.038 1.570
O 5.014 8.084 9.939
O 4.568 7.101 7.027
O 4.838 4.925 16.670
O 6.026 9.514 11.810
O 4.731 5.042 10.513
O 6.371 8.945 14.561
O 4.914 4.488 7.830
O 6.084 8.718 2.803
O 3.987 0.703 5.353
O 5.121 4.909 0.398
O 5.292 2.556 10.607
O 6.906 6.475 14.642
O 5.641 2.031 13.419
O 6.814 6.630 8.522
O 5.718 2.317 6.746
O 5.471 2.264 1.226
O 6.960 6.488 3.646
O 6.752 3.491 15.253
O 6.605 4.552 5.929
O 8.027 7.872 12.909
O 5.929 2.463 3.712
O 8.062 8.221 10.003
O 7.679 5.804 10.775
O 8.694 8.219 15.312
O 7.672 7.431 1.347
O 7.248 3.909 12.801
O 7.208 3.679 8.282
O 8.587 8.430 3.438
O 7.275 3.870 2.226
O 8.940 7.981 6.143
O 8.920 5.262 16.327
O 10.138 9.696 11.262
```